1.
Compound: SrEuInSbO6
Source: Materials Project
Functional: PBE
Structure: relaxed

a = 8.324 Å, b = 8.324 Å, c = 8.324 Å
α = 90.00°, β = 90.00°, γ = 90.00°
Space group F-43m (No. 216)
Unique sites:
Sr: 0.000 0.000 0.000 x4
Eu: 0.000 0.000 0.500 x4
In: 0.250 0.250 0.250 x4
Sb: 0.250 0.250 0.750 x4
O: 0.009 0.250 0.750 x24

Properties
* energy: -6.9481 eV per atom
* crystal system: cubic

=====

2.
Compound: Li2Ti3O7
Source: Materials Project
Functional: PBE
Structure: relaxed

a = 7.649 Å, b = 3.760 Å, c = 9.420 Å
α = 90.00°, β = 97.32°, γ = 90.00°
Space group P2_1/m (No. 11)
Unique sites:
Li: 0.074 0.250 0.096 x2
Li: 0.099 0.750 0.327 x2
Ti: 0.236 0.250 0.841 x2
Ti: 0.336 0.250 0.532 x2
Ti: 0.449 0.250 0.221 x2
O: 0.012 0.250 0.876 x2
O: 0.148 0.250 0.627 x2
O: 0.245 0.250 0.335 x2
O: 0.304 0.750 0.835 x2
O: 0.323 0.250 0.050 x2
O: 0.405 0.750 0.548 x2
O: 0.492 0.250 0.744 x2

Properties
* energy: -8.0072 eV per atom
* crystal system: monoclinic
* polymorph energy (0 for the lowest one): 0.00 eV per formula unit

=====

Values for energy of formation, eV per atom, ordered as above
-2.509, -3.230